w | Computed, not measured: a geometry-optimized Mg6SnBiO8 structure at the PBE level of DFT.

Cell and atoms, written as POSCAR:
```
Mg6SnBiO8
1.0
9.175 0.000 0.000
0.000 4.651 0.000
0.000 0.000 4.651
Mg Sn Bi O
6 1 1 8
Cartesian
4.587 0.000 0.000
4.587 2.325 2.325
2.539 0.000 2.325
6.636 0.000 2.325
2.539 2.325 0.000
6.636 2.325 0.000
0.000 0.000 0.000
0.000 2.325 2.325
2.542 0.000 0.000
6.633 0.000 0.000
2.539 2.325 2.325
6.636 2.325 2.325
0.000 0.000 2.325
4.587 0.000 2.325
0.000 2.325 0.000
4.587 2.325 0.000
```

---

x | Computed, not measured: a geometry-optimized Mg6SnBiO8 structure at the PBE level of DFT.

Cell and atoms, written as POSCAR:
```
Mg6SnBiO8
1.0
-5.603 -5.130 5.243
3.585 -1.121 2.734
-0.883 3.696 2.673
Mg Sn Bi O
6 1 1 8
Cartesian
1.351 1.287 2.703
-1.450 -1.278 5.325
-1.810 0.595 2.617
-4.675 -2.029 5.299
0.424 -1.814 2.647
-2.442 -4.438 5.329
0.000 0.000 0.000
-2.801 -2.565 2.621
-1.376 -1.260 1.287
-4.227 -3.871 3.956
-0.025 0.027 3.991
-2.876 -2.583 6.659
-0.441 1.848 1.336
-3.243 -0.717 3.958
1.792 -0.561 1.367
-1.009 -3.126 3.988
```

---

Most stable = w

---

w | Computed, not measured: a geometry-optimized Mg30SnBiO32 structure at the PBE level of DFT.

Cell and atoms, written as POSCAR:
```
Mg30SnBiO32
1.0
8.701 0.000 0.000
0.000 8.701 0.000
0.000 0.000 8.772
Mg Sn Bi O
30 1 1 32
Cartesian
0.000 4.350 0.000
0.000 4.350 4.386
4.350 0.000 0.000
4.350 0.000 4.386
4.350 4.350 0.000
4.350 4.350 4.386
0.000 2.277 2.168
0.000 2.277 6.604
0.000 6.423 2.168
0.000 6.423 6.604
4.350 2.189 2.189
4.350 2.189 6.583
4.350 6.511 2.189
4.350 6.511 6.583
2.277 0.000 2.168
2.277 0.000 6.604
2.189 4.350 2.189
2.189 4.350 6.583
6.423 0.000 2.168
6.423 0.000 6.604
6.511 4.350 2.189
6.511 4.350 6.583
2.220 2.220 0.000
2.236 2.236 4.386
2.220 6.480 0.000
2.236 6.464 4.386
6.480 2.220 0.000
6.464 2.236 4.386
6.480 6.480 0.000
6.464 6.464 4.386
0.000 0.000 0.000
0.000 0.000 4.386
2.365 0.000 0.000
2.357 0.000 4.386
2.207 4.350 0.000
2.207 4.350 4.386
6.336 0.000 0.000
6.343 0.000 4.386
6.493 4.350 0.000
6.493 4.350 4.386
2.163 2.163 2.192
2.163 2.163 6.580
2.163 6.537 2.192
2.163 6.537 6.580
6.537 2.163 2.192
6.537 2.163 6.580
6.537 6.537 2.192
6.537 6.537 6.580
0.000 0.000 2.170
0.000 0.000 6.602
0.000 4.350 2.194
0.000 4.350 6.578
4.350 0.000 2.194
4.350 0.000 6.578
4.350 4.350 2.194
4.350 4.350 6.578
0.000 2.365 0.000
0.000 2.357 4.386
0.000 6.336 0.000
0.000 6.343 4.386
4.350 2.207 0.000
4.350 2.207 4.386
4.350 6.493 0.000
4.350 6.493 4.386
```

---

x | Computed, not measured: a geometry-optimized Mg30SnBiO32 structure at the PBE level of DFT.

Cell and atoms, written as POSCAR:
```
Mg30SnBiO32
1.0
-6.975 3.450 -3.912
-0.097 -6.616 -5.663
-5.221 -4.497 5.343
Mg Sn Bi O
30 1 1 32
Cartesian
-0.048 -3.308 -2.831
-3.487 1.725 -1.956
-2.611 -2.249 2.672
-2.659 -5.557 -0.160
-6.098 -0.524 0.716
-6.146 -3.832 -2.116
-1.747 -0.782 -2.366
-1.796 -4.128 -5.230
-5.275 0.962 -4.344
-5.324 -2.384 -7.208
-4.375 -3.038 0.283
-4.423 -6.354 -2.554
-7.869 -1.310 -1.677
-7.918 -4.625 -4.514
-1.359 -2.826 -0.070
-1.406 -6.089 -2.862
-4.856 -1.045 -1.958
-4.905 -4.438 -4.863
-3.911 -5.025 2.543
-3.959 -8.287 -0.250
-7.387 -3.225 0.632
-7.436 -6.619 -2.273
-3.102 -0.275 0.374
-3.092 -3.626 -2.408
-6.541 1.426 -1.555
-6.669 -1.857 -4.414
-5.654 -2.474 2.986
-5.623 -5.807 0.183
-9.094 -0.772 1.057
-9.200 -4.037 -1.824
0.000 0.000 0.000
-3.536 -1.583 -4.787
-1.416 -1.220 1.449
-1.386 -4.460 -1.463
-4.825 0.573 -0.587
-4.949 -2.800 -3.341
-3.805 -3.278 3.894
-3.932 -6.653 1.143
-7.371 -1.620 2.019
-7.344 -4.863 -0.890
-3.067 -1.911 -1.065
-3.116 -5.218 -3.895
-6.554 -0.186 -3.020
-6.602 -3.493 -5.851
-5.690 -4.170 1.620
-5.738 -7.477 -1.211
-9.177 -2.445 -0.336
-9.225 -5.753 -3.167
-0.026 -1.783 -1.526
-0.071 -4.833 -4.137
-3.510 0.185 -3.274
-3.561 -3.351 -6.300
-2.635 -3.921 1.240
-2.683 -7.192 -1.560
-6.122 -2.161 -0.685
-6.171 -5.503 -3.546
-1.879 0.930 -1.054
-1.672 -2.505 -3.742
-5.095 2.520 -2.858
-5.399 -0.661 -5.832
-4.374 -1.377 1.683
-4.384 -4.703 -1.128
-7.822 0.329 -0.251
-7.908 -2.960 -3.104
```

---

Most stable = x